# TiInPd2

A relaxed TiInPd2 crystal (GGA-PBE, the Materials Project).

Cell and atoms, written as POSCAR:
```
TiInPd2
1.0
3.275 0.000 0.000
0.000 3.275 0.000
0.000 0.000 6.431
Ti In Pd
1 1 2
Direct
0.000 0.000 0.000
0.000 0.000 0.500
0.500 0.500 0.220
0.500 0.500 0.780
```

Output
Calculated formation energy = -0.557 eV/atom
Symmetry = P4/mmm, No. 123
E = -23.234 eV/cell

---

# TiInNi2

A relaxed TiInNi2 crystal (GGA-PBE, the Materials Project).

Cell and atoms, written as POSCAR:
```
TiInNi2
1.0
3.098 0.000 0.000
0.000 3.098 0.000
0.000 0.000 6.112
Ti In Ni
1 1 2
Direct
0.000 0.000 0.000
0.000 0.000 0.500
0.500 0.500 0.211
0.500 0.500 0.789
```

Output
Calculated formation energy = -0.329 eV/atom
Symmetry = P4/mmm, No. 123
Spin magnetization = 0.006 μB/f.u.
E = -23.524 eV/cell

---

# KCrCl3

A relaxed KCrCl3 crystal (GGA-PBE, the Materials Project).

Cell and atoms, written as POSCAR:
```
KCrCl3
1.0
3.520 2.033 5.701
-3.520 2.033 5.701
0.000 -4.065 5.701
K Cr Cl
2 2 6
Direct
0.000 0.000 0.000
0.500 0.500 0.500
0.256 0.256 0.256
0.756 0.756 0.756
0.007 0.462 0.551
0.051 0.962 0.507
0.462 0.551 0.007
0.507 0.051 0.962
0.551 0.007 0.462
0.962 0.507 0.051
```

Output
Calculated formation energy = -1.734 eV/atom
Symmetry = R3c, No. 161
Spin magnetization = 3.999 μB/f.u.
E = -46.271 eV/cell

---

# Dy2Ge5Ir3

A relaxed Dy2Ge5Ir3 crystal (GGA-PBE, the Materials Project).

Cell and atoms, written as POSCAR:
```
Dy2Ge5Ir3
1.0
-5.139 5.914 3.016
5.139 -5.914 3.016
5.139 5.914 -3.016
Dy Ge Ir
4 10 6
Direct
0.134 0.226 0.361
0.366 0.726 0.092
0.634 0.274 0.908
0.866 0.774 0.639
0.027 0.750 0.277
0.098 0.662 0.760
0.250 0.250 0.000
0.402 0.162 0.564
0.473 0.750 0.723
0.527 0.250 0.277
0.598 0.838 0.436
0.750 0.750 0.000
0.902 0.338 0.240
0.973 0.250 0.723
0.142 0.889 0.031
0.250 0.750 0.500
0.358 0.389 0.747
0.642 0.611 0.253
0.750 0.250 0.500
0.858 0.111 0.969
```

Output
Calculated formation energy = -0.718 eV/atom
Symmetry = Ibam, No. 72
Spin magnetization = 0.002 μB/f.u.
E = -132.050 eV/cell

---

# YMgMoS4

A relaxed YMgMoS4 crystal (GGA-PBE, the Materials Project).

Cell and atoms, written as POSCAR:
```
YMgMoS4
1.0
-3.820 3.854 5.391
3.820 -3.854 5.391
3.820 3.854 -5.391
Y Mg Mo S
2 2 2 8
Direct
0.000 0.000 0.000
0.500 0.000 0.500
0.373 0.623 0.750
0.627 0.377 0.250
0.000 0.000 0.500
0.000 0.500 0.000
0.218 0.746 0.472
0.225 0.254 0.972
0.235 0.232 0.498
0.235 0.737 0.002
0.765 0.263 0.998
0.765 0.768 0.502
0.775 0.746 0.028
0.782 0.254 0.528
```

Output
Calculated formation energy = -1.503 eV/atom
Symmetry = Imma, No. 74
Spin magnetization = 2.991 μB/f.u.
E = -87.940 eV/cell

---

# TbBi2IO4

A relaxed TbBi2IO4 crystal (GGA-PBE, the Materials Project).

Cell and atoms, written as POSCAR:
```
TbBi2IO4
1.0
3.954 0.000 0.000
0.000 3.954 0.000
0.000 0.000 9.737
Tb Bi I O
1 2 1 4
Direct
0.000 0.000 0.000
0.500 0.500 0.256
0.500 0.500 0.744
0.000 0.000 0.500
0.000 0.500 0.143
0.000 0.500 0.857
0.500 0.000 0.143
0.500 0.000 0.857
```

Output
Calculated formation energy = -2.276 eV/atom
Symmetry = P4/mmm, No. 123
Spin magnetization = 0.000 μB/f.u.
E = -49.193 eV/cell

---

# GdH12Cl3O6

A relaxed GdH12Cl3O6 crystal (GGA-PBE, the Materials Project).

Cell and atoms, written as POSCAR:
```
GdH12Cl3O6
1.0
7.920 0.000 0.000
0.000 6.599 0.000
-7.406 0.000 9.671
Gd H Cl O
2 24 6 12
Direct
0.000 0.153 0.250
0.000 0.847 0.750
0.032 0.448 0.885
0.032 0.552 0.385
0.200 0.475 0.182
0.200 0.525 0.682
0.240 0.095 0.130
0.240 0.905 0.630
0.323 0.085 0.735
0.323 0.915 0.235
0.371 0.329 0.533
0.371 0.671 0.033
0.473 0.248 0.465
0.473 0.752 0.965
0.527 0.248 0.035
0.527 0.752 0.535
0.629 0.329 0.967
0.629 0.671 0.467
0.677 0.085 0.765
0.677 0.915 0.265
0.760 0.095 0.370
0.760 0.905 0.870
0.800 0.475 0.318
0.800 0.525 0.818
0.968 0.448 0.615
0.968 0.552 0.115
0.201 0.168 0.943
0.201 0.832 0.443
0.500 0.366 0.750
0.500 0.634 0.250
0.799 0.168 0.557
0.799 0.832 0.057
0.056 0.428 0.146
0.056 0.572 0.646
0.258 0.051 0.214
0.258 0.949 0.714
0.336 0.294 0.443
0.336 0.706 0.943
0.664 0.294 0.057
0.664 0.706 0.557
0.742 0.051 0.286
0.742 0.949 0.786
0.944 0.428 0.354
0.944 0.572 0.854
```

Output
Calculated formation energy = -1.471 eV/atom
Symmetry = P2/c, No. 13
Spin magnetization = 7.001 μB/f.u.
E = -236.509 eV/cell

---

# K3AuF12

A relaxed K3AuF12 crystal (GGA-PBE, the Materials Project).

Cell and atoms, written as POSCAR:
```
K3AuF12
1.0
3.925 -7.090 0.000
3.925 7.090 0.000
-3.265 0.000 5.466
K Au F
3 1 12
Direct
0.000 0.000 0.000
0.000 0.500 0.500
0.500 0.000 0.500
0.500 0.500 0.500
0.043 0.626 0.146
0.165 0.275 0.793
0.209 0.406 0.313
0.275 0.165 0.793
0.374 0.957 0.854
0.406 0.209 0.313
0.594 0.791 0.687
0.626 0.043 0.146
0.725 0.835 0.207
0.791 0.594 0.687
0.835 0.725 0.207
0.957 0.374 0.854
```

Output
Calculated formation energy = -1.639 eV/atom
Symmetry = C2/m, No. 12
Spin magnetization = 2.002 μB/f.u.
E = -50.258 eV/cell